# 1
Crystalline K2RbTbMgV2O8 at its relaxed geometry, computed with GGA+U.

Results
For the energy above the most stable polymorph in this dataset, the calculation gives 0.000 eV/f.u. For the energy of formation, the calculation gives -2.54 eV per atom. As for the mass density: 3.43 g/cm3. The crystal system is monoclinic. As for the space-group type: C2/m. The value obtained for the total magnetization is 0.1308 μB per atom.

Geometry as POSCAR:
```
K2RbTbMgV2O8
1.0
5.393 -3.099 0.000
5.393 3.099 0.000
-0.586 0.000 8.363
K Rb Tb Mg V O
2 1 1 1 2 8
direct
0.202 0.202 0.247 K
0.798 0.798 0.753 K
0.500 0.500 0.000 Rb
0.500 0.500 0.500 Tb
0.000 0.000 0.500 Mg
0.194 0.194 0.745 V
0.806 0.806 0.255 V
0.123 0.685 0.367 O
0.174 0.174 0.946 O
0.315 0.877 0.633 O
0.350 0.350 0.688 O
0.650 0.650 0.312 O
0.685 0.123 0.367 O
0.826 0.826 0.054 O
0.877 0.315 0.633 O
```

# 2
Crystalline LiVO3 at its relaxed geometry, computed with GGA+U.

Results
For the energy of formation, the calculation gives -2.35 eV per atom. As for the mass density: 3.35 g/cm3. The crystal system is monoclinic. As for the space-group type: C2/m. The value obtained for the total magnetization is 0.0000 μB per atom.

Geometry as POSCAR:
```
LiVO3
1.0
2.412 -4.501 0.000
2.412 4.501 0.000
-1.200 0.000 4.832
Li V O
2 2 6
direct
0.150 0.850 0.000 Li
0.850 0.150 0.000 Li
0.342 0.658 0.500 V
0.658 0.342 0.500 V
0.056 0.455 0.727 O
0.300 0.300 0.288 O
0.455 0.056 0.727 O
0.545 0.944 0.273 O
0.700 0.700 0.712 O
0.944 0.545 0.273 O
```

# 3
Crystalline MgMn3Cd2O8 at its relaxed geometry, computed with GGA+U.

Results
For the energy above the most stable polymorph in this dataset, the calculation gives 0.263 eV/f.u. For the energy of formation, the calculation gives -1.88 eV per atom. As for the mass density: 5.45 g/cm3. The crystal system is triclinic. As for the space-group type: P-1. The value obtained for the total magnetization is 0.7857 μB per atom.

Geometry as POSCAR:
```
MgMn3Cd2O8
1.0
5.285 0.000 0.000
-0.256 5.805 0.000
-0.033 -2.666 5.382
Mg Mn Cd O
1 3 2 8
direct
0.000 0.000 0.000 Mg
0.017 0.274 0.721 Mn
0.500 0.500 0.000 Mn
0.983 0.726 0.279 Mn
0.476 0.809 0.679 Cd
0.524 0.191 0.321 Cd
0.082 0.871 0.625 O
0.183 0.346 0.050 O
0.307 0.822 0.126 O
0.350 0.419 0.680 O
0.650 0.581 0.320 O
0.693 0.178 0.874 O
0.817 0.654 0.950 O
0.918 0.129 0.375 O
```

# 4
Crystalline K4Mn3F12 at its relaxed geometry, computed with GGA+U.

Results
For the energy of formation, the calculation gives -2.98 eV per atom. As for the mass density: 3.01 g/cm3. The crystal system is tetragonal. As for the space-group type: I4_1/amd.

Geometry as POSCAR:
```
K4Mn3F12
1.0
-4.253 4.253 8.378
4.253 -4.253 8.378
4.253 4.253 -8.378
K Mn F
8 6 24
direct
0.000 0.221 0.221 K
0.000 0.779 0.779 K
0.221 0.000 0.721 K
0.221 0.500 0.221 K
0.500 0.221 0.721 K
0.500 0.779 0.279 K
0.779 0.000 0.279 K
0.779 0.500 0.779 K
0.132 0.382 0.750 Mn
0.375 0.625 0.750 Mn
0.382 0.132 0.250 Mn
0.618 0.868 0.750 Mn
0.625 0.375 0.250 Mn
0.868 0.618 0.250 Mn
0.019 0.269 0.750 F
0.123 0.620 0.502 F
0.133 0.163 0.530 F
0.133 0.603 0.970 F
0.163 0.133 0.030 F
0.248 0.498 0.750 F
0.269 0.019 0.250 F
0.380 0.382 0.502 F
0.380 0.877 0.998 F
0.382 0.380 0.002 F
0.397 0.867 0.530 F
0.498 0.248 0.250 F
0.502 0.752 0.750 F
0.603 0.133 0.470 F
0.618 0.620 0.998 F
0.620 0.123 0.002 F
0.620 0.618 0.498 F
0.731 0.981 0.750 F
0.752 0.502 0.250 F
0.837 0.867 0.970 F
0.867 0.397 0.030 F
0.867 0.837 0.470 F
0.877 0.380 0.498 F
0.981 0.731 0.250 F
```

# 5
Crystalline KMnF3 at its relaxed geometry, computed with GGA+U.

Results
For the energy of formation, the calculation gives -3.02 eV per atom. As for the mass density: 3.26 g/cm3. The crystal system is tetragonal. As for the space-group type: I4/mcm.

Geometry as POSCAR:
```
KMnF3
1.0
-2.995 2.995 4.288
2.995 -2.995 4.288
2.995 2.995 -4.288
K Mn F
2 2 6
direct
0.250 0.750 0.500 K
0.750 0.250 0.500 K
0.000 0.000 0.000 Mn
0.500 0.500 0.000 Mn
0.214 0.714 0.929 F
0.250 0.250 0.000 F
0.286 0.214 0.500 F
0.714 0.786 0.500 F
0.750 0.750 0.000 F
0.786 0.286 0.071 F
```

# 6
Crystalline Mg2V2O7 at its relaxed geometry, computed with GGA+U.

Results
For the energy of formation, the calculation gives -2.68 eV per atom. As for the mass density: 3.14 g/cm3. The crystal system is triclinic. As for the space-group type: P-1.

Geometry as POSCAR:
```
Mg2V2O7
1.0
5.044 0.000 0.000
-0.836 5.430 0.000
-2.211 -2.534 10.146
Mg V O
4 4 14
direct
0.015 0.292 0.087 Mg
0.070 0.287 0.582 Mg
0.930 0.713 0.418 Mg
0.985 0.708 0.913 Mg
0.352 0.298 0.869 V
0.462 0.150 0.359 V
0.538 0.850 0.641 V
0.648 0.702 0.131 V
0.123 0.453 0.783 O
0.188 0.074 0.933 O
0.211 0.054 0.440 O
0.261 0.616 0.541 O
0.292 0.574 0.038 O
0.317 0.265 0.234 O
0.406 0.124 0.715 O
0.594 0.876 0.285 O
0.683 0.735 0.766 O
0.708 0.426 0.962 O
0.739 0.384 0.459 O
0.789 0.946 0.560 O
0.812 0.926 0.067 O
0.877 0.547 0.217 O
```

# 7
Crystalline Mg4FeO5 at its relaxed geometry, computed with GGA+U.

Results
For the energy above the most stable polymorph in this dataset, the calculation gives 0.014 eV/f.u. For the energy of formation, the calculation gives -2.73 eV per atom. As for the mass density: 3.94 g/cm3. The crystal system is monoclinic. As for the space-group type: C2/c. The value obtained for the total magnetization is 0.0001 μB per atom.

Geometry as POSCAR:
```
Mg4FeO5
1.0
2.613 -1.512 0.000
2.613 1.512 0.000
-1.786 0.000 24.838
Mg Fe O
8 2 10
direct
0.100 0.600 0.300 Mg
0.201 0.700 0.602 Mg
0.300 0.799 0.898 Mg
0.400 0.900 0.200 Mg
0.600 0.100 0.800 Mg
0.700 0.201 0.102 Mg
0.799 0.300 0.398 Mg
0.900 0.400 0.700 Mg
0.000 0.500 0.000 Fe
0.500 0.000 0.500 Fe
0.050 0.551 0.151 O
0.142 0.656 0.447 O
0.250 0.750 0.750 O
0.344 0.858 0.053 O
0.449 0.950 0.349 O
0.551 0.050 0.651 O
0.656 0.142 0.947 O
0.750 0.250 0.250 O
0.858 0.344 0.553 O
0.950 0.449 0.849 O
```

# 8
Crystalline Zn2Mo3O8 at its relaxed geometry, computed with GGA+U.

Results
For the energy of formation, the calculation gives -1.86 eV per atom. As for the mass density: 5.55 g/cm3. The crystal system is hexagonal. As for the space-group type: P6_3mc. The value obtained for the total magnetization is 0.4615 μB per atom.

Geometry as POSCAR:
```
Zn2Mo3O8
1.0
6.287 0.000 0.000
-3.144 5.445 0.000
0.000 0.000 9.558
Zn Mo O
4 6 16
direct
0.333 0.667 0.000 Zn
0.333 0.667 0.383 Zn
0.667 0.333 0.500 Zn
0.667 0.333 0.883 Zn
0.164 0.328 0.674 Mo
0.164 0.836 0.674 Mo
0.328 0.164 0.174 Mo
0.672 0.836 0.674 Mo
0.836 0.164 0.174 Mo
0.836 0.672 0.174 Mo
0.000 0.000 0.062 O
0.000 0.000 0.562 O
0.037 0.518 0.549 O
0.167 0.334 0.270 O
0.167 0.833 0.270 O
0.333 0.667 0.791 O
0.334 0.167 0.770 O
0.482 0.518 0.549 O
0.482 0.963 0.549 O
0.518 0.037 0.049 O
0.518 0.482 0.049 O
0.666 0.833 0.270 O
0.667 0.333 0.291 O
0.833 0.167 0.770 O
0.833 0.666 0.770 O
0.963 0.482 0.049 O
```

# 9
Crystalline Li4Fe3Cu2Sn3O16 at its relaxed geometry, computed with GGA+U.

Results
For the energy of formation, the calculation gives -1.71 eV per atom. As for the mass density: 4.93 g/cm3. The crystal system is monoclinic. As for the space-group type: Cm. The value obtained for the total magnetization is 0.3825 μB per atom.

Geometry as POSCAR:
```
Li4Fe3Cu2Sn3O16
1.0
5.316 -3.059 0.000
5.316 3.059 0.000
-0.028 0.000 9.680
Li Fe Cu Sn O
4 3 2 3 16
direct
0.000 0.000 0.000 Li
0.003 0.003 0.492 Li
0.323 0.323 0.389 Li
0.658 0.658 0.896 Li
0.161 0.161 0.713 Fe
0.331 0.823 0.212 Fe
0.823 0.331 0.212 Fe
0.323 0.323 0.989 Cu
0.655 0.655 0.485 Cu
0.161 0.653 0.713 Sn
0.653 0.161 0.713 Sn
0.821 0.821 0.213 Sn
0.032 0.467 0.844 O
0.158 0.158 0.107 O
0.162 0.664 0.099 O
0.321 0.833 0.600 O
0.322 0.322 0.596 O
0.467 0.032 0.844 O
0.475 0.475 0.845 O
0.506 0.951 0.343 O
0.514 0.514 0.337 O
0.653 0.653 0.100 O
0.664 0.162 0.099 O
0.831 0.831 0.594 O
0.833 0.321 0.600 O
0.951 0.506 0.343 O
0.996 0.996 0.816 O
0.997 0.997 0.308 O
```

# 10
Crystalline Si2MoO7 at its relaxed geometry, computed with GGA+U.

Results
For the energy of formation, the calculation gives -2.41 eV per atom. As for the mass density: 3.00 g/cm3. The crystal system is monoclinic. As for the space-group type: C2/c. The value obtained for the total magnetization is 0.0000 μB per atom.

Geometry as POSCAR:
```
Si2MoO7
1.0
8.275 -3.999 0.000
8.275 3.999 0.000
-4.938 0.000 8.821
Si Mo O
8 4 28
direct
0.024 0.634 0.347 Si
0.039 0.686 0.893 Si
0.314 0.961 0.607 Si
0.366 0.976 0.153 Si
0.634 0.024 0.847 Si
0.686 0.039 0.393 Si
0.961 0.314 0.107 Si
0.976 0.366 0.653 Si
0.281 0.719 0.250 Mo
0.500 0.500 0.000 Mo
0.500 0.500 0.500 Mo
0.719 0.281 0.750 Mo
0.009 0.508 0.817 O
0.036 0.608 0.499 O
0.068 0.754 0.083 O
0.126 0.143 0.671 O
0.143 0.126 0.171 O
0.235 0.597 0.352 O
0.244 0.613 0.871 O
0.246 0.932 0.417 O
0.387 0.756 0.629 O
0.392 0.964 0.001 O
0.403 0.765 0.148 O
0.416 0.459 0.110 O
0.459 0.416 0.610 O
0.492 0.991 0.683 O
0.508 0.009 0.317 O
0.541 0.584 0.390 O
0.584 0.541 0.890 O
0.597 0.235 0.852 O
0.608 0.036 0.999 O
0.613 0.244 0.371 O
0.754 0.068 0.583 O
0.756 0.387 0.129 O
0.765 0.403 0.648 O
0.857 0.874 0.829 O
0.874 0.857 0.329 O
0.932 0.246 0.917 O
0.964 0.392 0.501 O
0.991 0.492 0.183 O
```

# 11
Crystalline Li2Fe2P3O12 at its relaxed geometry, computed with GGA+U.

Results
For the energy above the most stable polymorph in this dataset, the calculation gives 0.660 eV/f.u. For the energy of formation, the calculation gives -2.37 eV per atom. As for the mass density: 2.92 g/cm3. The crystal system is triclinic. As for the space-group type: P-1. The value obtained for the total magnetization is 0.4737 μB per atom.

Geometry as POSCAR:
```
Li2Fe2P3O12
1.0
8.536 0.000 0.000
4.209 7.438 0.000
4.211 2.319 7.354
Li Fe P O
4 4 6 24
direct
0.151 0.294 0.048 Li
0.279 0.103 0.372 Li
0.721 0.897 0.628 Li
0.849 0.706 0.952 Li
0.144 0.637 0.573 Fe
0.350 0.852 0.940 Fe
0.650 0.148 0.060 Fe
0.856 0.363 0.427 Fe
0.033 0.966 0.751 P
0.254 0.457 0.249 P
0.461 0.251 0.755 P
0.539 0.749 0.245 P
0.746 0.543 0.751 P
0.967 0.034 0.249 P
0.029 0.116 0.563 O
0.099 0.765 0.740 O
0.120 0.382 0.248 O
0.169 0.980 0.806 O
0.171 0.010 0.108 O
0.182 0.486 0.435 O
0.258 0.390 0.750 O
0.260 0.638 0.092 O
0.380 0.686 0.408 O
0.448 0.291 0.240 O
0.453 0.244 0.939 O
0.488 0.054 0.763 O
0.512 0.946 0.237 O
0.547 0.756 0.061 O
0.552 0.709 0.760 O
0.620 0.314 0.592 O
0.740 0.362 0.908 O
0.742 0.610 0.250 O
0.818 0.514 0.565 O
0.829 0.990 0.892 O
0.831 0.020 0.194 O
0.880 0.618 0.752 O
0.901 0.235 0.260 O
0.971 0.884 0.437 O
```

# 12
Crystalline Li3CrB4O9 at its relaxed geometry, computed with GGA+U.

Results
For the energy of formation, the calculation gives -2.62 eV per atom. As for the mass density: 2.63 g/cm3. The crystal system is monoclinic. As for the space-group type: P2_1/m. The value obtained for the total magnetization is 0.1765 μB per atom.

Geometry as POSCAR:
```
Li3CrB4O9
1.0
5.893 0.000 0.000
0.000 8.544 0.000
-1.552 0.000 6.522
Li Cr B O
6 2 8 18
direct
0.086 0.250 0.498 Li
0.262 0.564 0.840 Li
0.262 0.936 0.840 Li
0.738 0.064 0.160 Li
0.738 0.436 0.160 Li
0.914 0.750 0.502 Li
0.252 0.250 0.113 Cr
0.748 0.750 0.887 Cr
0.217 0.543 0.283 B
0.217 0.957 0.283 B
0.364 0.750 0.541 B
0.498 0.250 0.769 B
0.502 0.750 0.231 B
0.636 0.250 0.459 B
0.783 0.043 0.717 B
0.783 0.457 0.717 B
0.083 0.089 0.222 O
0.083 0.411 0.222 O
0.210 0.611 0.468 O
0.210 0.889 0.468 O
0.288 0.250 0.845 O
0.354 0.604 0.157 O
0.354 0.896 0.157 O
0.420 0.750 0.764 O
0.433 0.250 0.546 O
0.567 0.750 0.454 O
0.580 0.250 0.236 O
0.646 0.104 0.843 O
0.646 0.396 0.843 O
0.712 0.750 0.155 O
0.790 0.111 0.532 O
0.790 0.389 0.532 O
0.917 0.589 0.778 O
0.917 0.911 0.778 O
```